(1)
This record from the Materials Project describes a relaxed structure of Tb2Ti3Si4. The functional is meta-GGA r2SCAN.

```
data_Tb2Ti3Si4
_chemical_formula_sum 'Tb8 Ti12 Si16'
_space_group_name_H-M_alt 'P 41 21 2'
_space_group_IT_number 92
_cell_length_a 7.064
_cell_length_b 7.064
_cell_length_c 12.966
_cell_angle_alpha 90.00
_cell_angle_beta 90.00
_cell_angle_gamma 90.00
loop_
_space_group_symop_operation_xyz
'x,y,z'
'-y+1/2,x+1/2,z+1/4'
'-x,-y,z+1/2'
'y+1/2,-x+1/2,z+3/4'
'x+1/2,-y+1/2,-z+3/4'
'-y,-x,-z+1/2'
'-x+1/2,y+1/2,-z+1/4'
'y,x,-z'
loop_
_atom_site_label
_atom_site_type_symbol
_atom_site_fract_x
_atom_site_fract_y
_atom_site_fract_z
Tb1 Tb 0.001 0.340 0.034
Ti1 Ti 0.008 0.153 0.624
Ti2 Ti 0.172 0.828 0.750
Si1 Si 0.048 0.710 0.936
Si2 Si 0.129 0.204 0.816
```

Properties
The total magnetization comes out at 1.5 μB per formula unit.

***

(2)
This record from the Materials Project describes a relaxed structure of NdZnRh. The functional is meta-GGA r2SCAN.

```
data_NdZnRh
_chemical_formula_sum 'Nd8 Zn8 Rh8'
_space_group_name_H-M_alt 'P n m a'
_space_group_IT_number 62
_cell_length_a 7.254
_cell_length_b 4.002
_cell_length_c 16.440
_cell_angle_alpha 90.00
_cell_angle_beta 90.00
_cell_angle_gamma 90.00
loop_
_space_group_symop_operation_xyz
'x,y,z'
'-x,-y,-z'
'-x+1/2,-y,z+1/2'
'x+1/2,y,-z+1/2'
'x+1/2,-y+1/2,-z+1/2'
'-x+1/2,y+1/2,z+1/2'
'-x,y+1/2,-z'
'x,-y+1/2,z'
loop_
_atom_site_label
_atom_site_type_symbol
_atom_site_fract_x
_atom_site_fract_y
_atom_site_fract_z
Nd1 Nd 0.049 0.250 0.216
Nd2 Nd 0.168 0.250 0.439
Zn1 Zn 0.002 0.750 0.060
Zn2 Zn 0.125 0.250 0.650
Rh1 Rh 0.243 0.250 0.065
Rh2 Rh 0.247 0.250 0.814
```

Properties
The total magnetization comes out at 0.0 μB per formula unit.

***

(3)
This record from the Materials Project describes a relaxed structure of Ag2HgO2. The functional is meta-GGA r2SCAN.

```
data_Ag2HgO2
_chemical_formula_sum 'Ag8 Hg4 O8'
_space_group_name_H-M_alt 'P 43 21 2'
_space_group_IT_number 96
_cell_length_a 6.224
_cell_length_b 6.224
_cell_length_c 8.395
_cell_angle_alpha 90.00
_cell_angle_beta 90.00
_cell_angle_gamma 90.00
loop_
_space_group_symop_operation_xyz
'x,y,z'
'-y+1/2,x+1/2,z+3/4'
'-x,-y,z+1/2'
'y+1/2,-x+1/2,z+1/4'
'x+1/2,-y+1/2,-z+1/4'
'-y,-x,-z+1/2'
'-x+1/2,y+1/2,-z+3/4'
'y,x,-z'
loop_
_atom_site_label
_atom_site_type_symbol
_atom_site_fract_x
_atom_site_fract_y
_atom_site_fract_z
Ag1 Ag 0.001 0.245 0.122
Hg1 Hg 0.211 0.211 0.500
O1 O 0.122 0.251 0.735
```

Properties
The total magnetization comes out at 0.0 μB per formula unit.

***

(4)
This record from the Materials Project describes a relaxed structure of Ti9O17. The functional is meta-GGA r2SCAN.

```
data_Ti9O17
_chemical_formula_sum 'Ti18 O34'
_space_group_name_H-M_alt 'P -1'
_space_group_IT_number 2
_cell_length_a 5.527
_cell_length_b 7.134
_cell_length_c 14.775
_cell_angle_alpha 96.70
_cell_angle_beta 90.64
_cell_angle_gamma 108.44
loop_
_space_group_symop_operation_xyz
'x,y,z'
'-x,-y,-z'
loop_
_atom_site_label
_atom_site_type_symbol
_atom_site_fract_x
_atom_site_fract_y
_atom_site_fract_z
Ti1 Ti 0.000 0.000 0.000
Ti2 Ti 0.000 0.500 0.000
Ti3 Ti 0.162 0.400 0.772
Ti4 Ti 0.168 0.905 0.774
Ti5 Ti 0.253 0.407 0.340
Ti6 Ti 0.258 0.905 0.342
Ti7 Ti 0.297 0.309 0.540
Ti8 Ti 0.306 0.812 0.545
Ti9 Ti 0.411 0.795 0.114
Ti10 Ti 0.421 0.298 0.114
O1 O 0.046 0.823 0.457
O2 O 0.049 0.113 0.728
O3 O 0.059 0.636 0.127
O4 O 0.103 0.760 0.642
O5 O 0.124 0.287 0.038
O6 O 0.139 0.613 0.308
O7 O 0.196 0.261 0.224
O8 O 0.225 0.035 0.894
O9 O 0.284 0.687 0.806
O10 O 0.293 0.012 0.079
O11 O 0.295 0.539 0.478
O12 O 0.352 0.191 0.406
O13 O 0.360 0.666 0.990
O14 O 0.384 0.449 0.658
O15 O 0.457 0.107 0.570
O16 O 0.460 0.413 0.845
O17 O 0.480 0.942 0.244
```

Properties
The total magnetization comes out at 2.1 μB per formula unit.

***

Number 1: VASP energy -16.0005 eV per atom. Number 2: VASP energy -21.5091 eV per atom. Number 3: VASP energy -21.0674 eV per atom. Number 4: VASP energy -11.6713 eV per atom.